Compound: K4BeAs2
Source: Materials Project
Functional: PBE
Structure: relaxed

Unit cell a=9.3004 b=9.3004 c=9.3004 alpha=35.82 beta=35.82 gamma=35.82
Element x y z (fractional)
K  0.1239  0.1239  0.1239
K  0.2915  0.2915  0.2915
K  0.7085  0.7085  0.7085
K  0.8761  0.8761  0.8761
Be  0.5000  0.5000  0.5000
As  0.4199  0.4199  0.4199
As  0.5801  0.5801  0.5801

Values from the calculation:
Total energy (eV for the cell shown): -20.4
ΔH_f (0 K) (eV/atom): -0.4089
Space group: No. 166



Compound: K2LiCeI6
Source: Materials Project
Functional: PBE
Structure: relaxed

Unit cell a=8.5819 b=8.5819 c=8.5819 alpha=60.00 beta=60.00 gamma=60.00
Element x y z (fractional)
K  0.2500  0.2500  0.2500
K  0.7500  0.7500  0.7500
Li  0.0000  0.0000  0.0000
Ce  0.5000  0.5000  0.5000
I  0.2435  0.2435  0.7565
I  0.2435  0.7565  0.2435
I  0.2435  0.7565  0.7565
I  0.7565  0.2435  0.2435
I  0.7565  0.2435  0.7565
I  0.7565  0.7565  0.2435

Values from the calculation:
Total energy (eV for the cell shown): -32.6
ΔH_f (0 K) (eV/atom): -1.5706
Space group: No. 225



Compound: Sr2GdMgRuO6
Source: Materials Project
Functional: PBE
Structure: relaxed

Unit cell a=5.7195 b=5.7195 c=5.6940 alpha=109.75 beta=109.75 gamma=63.98
Element x y z (fractional)
Sr  0.2002  0.2002  0.1515
Sr  0.7998  0.7998  0.8485
Gd  0.0000  0.0000  0.5000
Mg  0.5000  0.5000  0.5000
Ru  0.5000  0.5000  0.0000
O  0.1966  0.6647  0.2026
O  0.3059  0.3059  0.6399
O  0.3353  0.8034  0.7974
O  0.6647  0.1966  0.2026
O  0.6941  0.6941  0.3601
O  0.8034  0.3353  0.7974

Values from the calculation:
Excess energy over the best structure of this formula in the dataset (eV per atom): 0.090
Total energy (eV for the cell shown): -81.8
ΔH_f (0 K) (eV/atom): -2.5323
Space group: No. 12



Compound: BaO
Source: Materials Project
Functional: PBE
Structure: relaxed

Unit cell a=13.2506 b=13.6352 c=14.5476 alpha=92.75 beta=92.56 gamma=94.21
Element x y z (fractional)
Ba  0.0000  0.0000  0.0000
Ba  0.0003  0.6931  0.6125
Ba  0.0022  0.1641  0.8306
Ba  0.0054  0.3180  0.6175
Ba  0.0518  0.5980  0.0735
Ba  0.0844  0.1614  0.3968
Ba  0.1081  0.4385  0.2756
Ba  0.1458  0.8366  0.4379
Ba  0.1474  0.8589  0.1857
Ba  0.1643  0.5046  0.5108
Ba  0.1948  0.3420  0.9738
Ba  0.1969  0.1753  0.1671
Ba  0.2020  0.0279  0.6459
Ba  0.2030  0.8321  0.9083
Ba  0.2045  0.5691  0.7978
Ba  0.2904  0.2900  0.6941
Ba  0.3169  0.0723  0.9620
Ba  0.3358  0.8016  0.6330
Ba  0.3476  0.6759  0.3328
Ba  0.3523  0.0260  0.3666
Ba  0.3779  0.4685  0.1573
Ba  0.3834  0.3333  0.3924
Ba  0.4488  0.8800  0.1428
Ba  0.4737  0.7794  0.8611
Ba  0.4900  0.4295  0.8385
Ba  0.4906  0.0789  0.7777
Ba  0.5216  0.2482  0.0761
Ba  0.5433  0.5374  0.6106
Ba  0.5460  0.9731  0.5459
Ba  0.5905  0.2689  0.5548
Ba  0.6164  0.1755  0.2948
Ba  0.6330  0.4641  0.2944
Ba  0.6389  0.7204  0.3198
Ba  0.6645  0.0056  0.0371
Ba  0.7059  0.6525  0.8373
Ba  0.7130  0.9266  0.7927
Ba  0.7135  0.7518  0.5804
Ba  0.7190  0.2388  0.8735
Ba  0.7505  0.4696  0.0753
Ba  0.7916  0.4855  0.5191
Ba  0.7949  0.7570  0.1016
Ba  0.7985  0.9404  0.4431
Ba  0.7990  0.1534  0.6567
Ba  0.8586  0.2869  0.3725
Ba  0.8910  0.4812  0.7830
Ba  0.9079  0.2376  0.1134
Ba  0.9155  0.9924  0.2421
Ba  0.9191  0.6873  0.3302
Ba  0.9511  0.7487  0.8920
Ba  0.9525  0.9294  0.6840
O  0.0350  0.2457  0.2466
O  0.0468  0.1307  0.6446
O  0.0468  0.9280  0.8394
O  0.0487  0.3629  0.4497
O  0.0531  0.5135  0.6750
O  0.0579  0.2047  0.0005
O  0.0739  0.6440  0.4639
O  0.0747  0.6824  0.2329
O  0.0981  0.9702  0.3280
O  0.1159  0.6568  0.9224
O  0.1205  0.8509  0.6138
O  0.1808  0.4599  0.1152
O  0.1849  0.0064  0.0732
O  0.2643  0.1877  0.3475
O  0.2804  0.4863  0.3560
O  0.2912  0.7403  0.7824
O  0.2947  0.4067  0.8286
O  0.3105  0.1310  0.7753
O  0.3182  0.9433  0.5192
O  0.3260  0.8471  0.2684
O  0.3281  0.2452  0.0481
O  0.3821  0.8884  0.9789
O  0.4360  0.3699  0.6037
O  0.4724  0.6276  0.2292
O  0.4805  0.3427  0.2418
O  0.4980  0.8908  0.7159
O  0.5242  0.1259  0.4405
O  0.5239  0.6012  0.7823
O  0.5401  0.0535  0.1659
O  0.5732  0.1232  0.9350
O  0.5950  0.3938  0.9792
O  0.6170  0.8503  0.4460
O  0.6264  0.1995  0.7187
O  0.6391  0.6004  0.4603
O  0.6715  0.3585  0.4216
O  0.6725  0.8172  0.9499
O  0.7325  0.5375  0.6744
O  0.7445  0.9676  0.6165
O  0.7516  0.3230  0.1939
O  0.7682  0.6011  0.2101
O  0.8058  0.8354  0.2702
O  0.8244  0.0823  0.8309
O  0.8256  0.7835  0.7478
O  0.8301  0.3069  0.5579
O  0.8450  0.0602  0.0943
O  0.8486  0.5761  0.9476
O  0.8556  0.1052  0.3691
O  0.8766  0.7764  0.5024
O  0.8974  0.3034  0.7873
O  0.9731  0.8175  0.0567

Values from the calculation:
Total energy (eV for the cell shown): -570.8
ΔH_f (0 K) (eV/atom): -2.6177
Space group: No. 1



Compound: LiCu2P3H8O13
Source: Materials Project
Functional: PBE
Structure: relaxed

Unit cell a=6.8079 b=9.2937 c=9.8763 alpha=94.70 beta=104.30 gamma=107.68
Element x y z (fractional)
Li  0.1358  0.2493  0.1122
Li  0.8642  0.7507  0.8878
Cu  0.0608  0.4475  0.3489
Cu  0.3055  0.8426  0.5384
Cu  0.6945  0.1574  0.4616
Cu  0.9392  0.5525  0.6511
P  0.2299  0.2037  0.5326
P  0.3220  0.2771  0.8387
P  0.4211  0.5211  0.6775
P  0.5789  0.4789  0.3225
P  0.6780  0.7229  0.1613
P  0.7701  0.7963  0.4674
H  0.0184  0.9554  0.1331
H  0.0671  0.7098  0.2196
H  0.1624  0.0651  0.2763
H  0.2247  0.8065  0.8403
H  0.2287  0.7006  0.9536
H  0.2954  0.7020  0.2451
H  0.4187  0.0762  0.1834
H  0.4690  0.0451  0.8195
H  0.5310  0.9549  0.1805
H  0.5813  0.9238  0.8166
H  0.7046  0.2980  0.7549
H  0.7713  0.2994  0.0464
H  0.7753  0.1935  0.1597
H  0.8376  0.9349  0.7237
H  0.9329  0.2902  0.7804
H  0.9816  0.0446  0.8669
O  0.0267  0.2196  0.4425
O  0.1282  0.7237  0.8749
O  0.1339  0.0551  0.1725
O  0.1667  0.2379  0.9264
O  0.1777  0.6866  0.2905
O  0.1923  0.1688  0.6854
O  0.2531  0.5833  0.5996
O  0.3273  0.0934  0.4777
O  0.3386  0.4472  0.8073
O  0.3476  0.3820  0.2670
O  0.4200  0.3694  0.5825
O  0.4373  0.9348  0.7878
O  0.4598  0.7394  0.1144
O  0.5402  0.2606  0.8856
O  0.5627  0.0652  0.2122
O  0.5800  0.6306  0.4175
O  0.6524  0.6180  0.7330
O  0.6614  0.5528  0.1927
O  0.6727  0.9066  0.5223
O  0.7469  0.4168  0.4004
O  0.8077  0.8312  0.3146
O  0.8223  0.3134  0.7095
O  0.8333  0.7621  0.0736
O  0.8661  0.9449  0.8275
O  0.8718  0.2763  0.1251
O  0.9733  0.7804  0.5575

Values from the calculation:
Total energy (eV for the cell shown): -311.5
ΔH_f (0 K) (eV/atom): -1.7356
Space group: No. 2



Compound: YCo4Ge
Source: Materials Project
Functional: PBE
Structure: relaxed

Unit cell a=4.9599 b=8.5283 c=3.9985 alpha=90.00 beta=90.00 gamma=90.00
Element x y z (fractional)
Y  0.0000  0.0000  0.0000
Y  0.5000  0.5000  0.0000
Co  0.0000  0.3324  0.0000
Co  0.0000  0.6676  0.0000
Co  0.2500  0.2500  0.5000
Co  0.2500  0.7500  0.5000
Co  0.5000  0.1676  0.0000
Co  0.5000  0.8324  0.0000
Co  0.7500  0.2500  0.5000
Co  0.7500  0.7500  0.5000
Ge  0.0000  0.5000  0.5000
Ge  0.5000  0.0000  0.5000

Values from the calculation:
Total energy (eV for the cell shown): -82.0
ΔH_f (0 K) (eV/atom): -0.2429
Space group: No. 65



Compound: Ho4Ge8Rh
Source: Materials Project
Functional: PBE
Structure: relaxed

Unit cell a=4.0040 b=4.1564 c=16.3034 alpha=90.00 beta=90.00 gamma=90.00
Element x y z (fractional)
Ho  0.0000  0.0000  0.0000
Ho  0.0000  0.5000  0.4897
Ho  0.5000  0.0000  0.7912
Ho  0.5000  0.5000  0.2863
Ge  0.0000  0.0000  0.3366
Ge  0.0000  0.0000  0.6210
Ge  0.0000  0.5000  0.1409
Ge  0.0000  0.5000  0.8550
Ge  0.5000  0.0000  0.1446
Ge  0.5000  0.0000  0.4416
Ge  0.5000  0.5000  0.6200
Ge  0.5000  0.5000  0.9559
Rh  0.0000  0.5000  0.7056

Values from the calculation:
Total energy (eV for the cell shown): -71.0
ΔH_f (0 K) (eV/atom): -0.6413
Space group: No. 25



Compound: Ti6O11
Source: Materials Project
Functional: PBE
Structure: relaxed

Unit cell a=5.6037 b=7.1898 c=9.8033 alpha=90.01 beta=100.43 gamma=108.69
Element x y z (fractional)
Ti  0.1789  0.1934  0.4346
Ti  0.1815  0.6963  0.4391
Ti  0.2258  0.1388  0.0831
Ti  0.2291  0.6382  0.0857
Ti  0.3110  0.5721  0.7433
Ti  0.3136  0.0753  0.7430
Ti  0.6864  0.9247  0.2570
Ti  0.6890  0.4279  0.2567
Ti  0.7709  0.3618  0.9143
Ti  0.7742  0.8612  0.9169
Ti  0.8185  0.3037  0.5609
Ti  0.8211  0.8066  0.5654
O  0.0143  0.9060  0.3914
O  0.0543  0.5744  0.2574
O  0.0964  0.3578  0.0262
O  0.1219  0.0177  0.8902
O  0.1846  0.7991  0.6459
O  0.2103  0.4555  0.5327
O  0.3394  0.2618  0.2838
O  0.3641  0.9222  0.1512
O  0.4064  0.6970  0.9247
O  0.4342  0.3580  0.7951
O  0.4733  0.1722  0.5649
O  0.5267  0.8278  0.4351
O  0.5658  0.6420  0.2049
O  0.5936  0.3030  0.0753
O  0.6359  0.0778  0.8488
O  0.6606  0.7382  0.7162
O  0.7897  0.5445  0.4673
O  0.8154  0.2009  0.3541
O  0.8781  0.9823  0.1098
O  0.9036  0.6422  0.9738
O  0.9457  0.4256  0.7426
O  0.9857  0.0940  0.6086

Values from the calculation:
Excess energy over the best structure of this formula in the dataset (eV per atom): 0.003
Total energy (eV for the cell shown): -305.3
ΔH_f (0 K) (eV/atom): -3.4350
Space group: No. 2



Compound: KMg3Si4O12
Source: Materials Project
Functional: PBE
Structure: relaxed

Unit cell a=5.2943 b=5.2943 c=20.7920 alpha=92.49 beta=92.49 gamma=119.72
Element x y z (fractional)
K  0.0859  0.9141  0.7500
K  0.9141  0.0859  0.2500
Mg  0.0000  0.5000  0.5000
Mg  0.1638  0.3291  0.0000
Mg  0.3291  0.1638  0.5000
Mg  0.5000  0.0000  0.0000
Mg  0.6709  0.8362  0.5000
Mg  0.8362  0.6709  0.0000
Si  0.2121  0.7188  0.1331
Si  0.2812  0.7879  0.3669
Si  0.3883  0.5477  0.6332
Si  0.4523  0.6117  0.8668
Si  0.5477  0.3883  0.1332
Si  0.6117  0.4523  0.3668
Si  0.7188  0.2121  0.6331
Si  0.7879  0.2812  0.8669
O  0.0152  0.8579  0.5474
O  0.0637  0.3882  0.6634
O  0.1090  0.4323  0.8353
O  0.1421  0.9848  0.9526
O  0.1903  0.6811  0.0555
O  0.3189  0.8097  0.4445
O  0.3610  0.5304  0.5557
O  0.3882  0.0637  0.1634
O  0.3907  0.5642  0.1650
O  0.4323  0.1090  0.3353
O  0.4358  0.6093  0.3350
O  0.4696  0.6390  0.9443
O  0.5304  0.3610  0.0557
O  0.5642  0.3907  0.6650
O  0.5677  0.8910  0.6647
O  0.6093  0.4358  0.8350
O  0.6118  0.9363  0.8366
O  0.6390  0.4696  0.4443
O  0.6811  0.1903  0.5555
O  0.8097  0.3189  0.9445
O  0.8579  0.0152  0.0474
O  0.8910  0.5677  0.1647
O  0.9363  0.6118  0.3366
O  0.9848  0.1421  0.4526

Values from the calculation:
Excess energy over the best structure of this formula in the dataset (eV per atom): 0.000
Total energy (eV for the cell shown): -279.4
ΔH_f (0 K) (eV/atom): -3.0477
Space group: No. 15



Compound: SrI2
Source: Materials Project
Functional: PBE
Structure: relaxed

Unit cell a=7.7486 b=7.7486 c=5.0014 alpha=90.00 beta=90.00 gamma=90.00
Element x y z (fractional)
Sr  0.0000  0.0000  0.0000
Sr  0.5000  0.5000  0.5000
I  0.1975  0.1975  0.5000
I  0.3025  0.6975  0.0000
I  0.6975  0.3025  0.0000
I  0.8025  0.8025  0.5000

Values from the calculation:
Total energy (eV for the cell shown): -19.7
ΔH_f (0 K) (eV/atom): -1.9499
Space group: No. 136



Compound: RbLaF4
Source: Materials Project
Functional: PBE
Structure: relaxed

Unit cell a=6.5265 b=3.8883 c=16.4254 alpha=90.00 beta=90.00 gamma=90.00
Element x y z (fractional)
Rb  0.2244  0.2500  0.2004
Rb  0.2756  0.7500  0.7004
Rb  0.7244  0.2500  0.2996
Rb  0.7756  0.7500  0.7996
La  0.2484  0.7500  0.4416
La  0.2516  0.2500  0.9416
La  0.7484  0.7500  0.0584
La  0.7516  0.2500  0.5584
F  0.0011  0.7500  0.9448
F  0.0955  0.2500  0.8126
F  0.1109  0.2500  0.3702
F  0.1311  0.2500  0.5360
F  0.3689  0.7500  0.0360
F  0.3891  0.7500  0.8702
F  0.4045  0.7500  0.3126
F  0.4989  0.2500  0.4448
F  0.5011  0.7500  0.5552
F  0.5955  0.2500  0.6874
F  0.6109  0.2500  0.1298
F  0.6311  0.2500  0.9640
F  0.8689  0.7500  0.4640
F  0.8891  0.7500  0.6298
F  0.9045  0.7500  0.1874
F  0.9989  0.2500  0.0552

Values from the calculation:
Total energy (eV for the cell shown): -143.0
ΔH_f (0 K) (eV/atom): -4.0019
Space group: No. 62



Compound: SrMg14Nb
Source: Materials Project
Functional: PBE
Structure: relaxed

Unit cell a=6.5565 b=6.5565 c=10.2339 alpha=90.00 beta=90.00 gamma=120.00
Element x y z (fractional)
Sr  0.0000  0.0000  0.0000
Mg  0.0102  0.5051  0.0000
Mg  0.1662  0.3325  0.2673
Mg  0.1662  0.3325  0.7326
Mg  0.1662  0.8338  0.2673
Mg  0.1662  0.8338  0.7326
Mg  0.4949  0.5051  0.0000
Mg  0.4949  0.9898  0.0000
Mg  0.5012  0.0024  0.5000
Mg  0.5012  0.4988  0.5000
Mg  0.6667  0.3333  0.2440
Mg  0.6667  0.3333  0.7560
Mg  0.6675  0.8338  0.2673
Mg  0.6675  0.8338  0.7326
Mg  0.9976  0.4988  0.5000
Nb  0.0000  0.0000  0.5000

Values from the calculation:
Excess energy over the best structure of this formula in the dataset (eV per atom): 0.000
Total energy (eV for the cell shown): -32.1
ΔH_f (0 K) (eV/atom): 0.1335
Space group: No. 187